No. 1
The following is a DFT calculation (PBE) of a geometry-optimized CaBi2O5 structure.

The structure in POSCAR format:
```
CaBi2O5
1.0
3.968 0.000 0.000
0.000 5.371 0.000
0.000 0.000 13.684
O Bi Ca
10 4 2
direct
0.500 0.068 0.831
0.000 0.932 0.331
0.000 0.932 0.669
0.500 0.920 0.500
0.000 0.540 0.101
0.500 0.460 0.601
0.500 0.068 0.169
0.500 0.460 0.399
0.000 0.540 0.899
0.000 0.080 0.000
0.000 0.905 0.856
0.000 0.905 0.144
0.500 0.095 0.356
0.500 0.095 0.644
0.000 0.626 0.500
0.500 0.374 0.000
```

Its space-group type is Pmmn (59).

=====

No. 2
The following is a DFT calculation (PBE) of a geometry-optimized Ca2Bi10O17 structure.

The structure in POSCAR format:
```
Ca2Bi10O17
1.0
4.045 6.761 0.000
-4.045 6.761 0.000
0.000 1.855 9.694
Bi O Ca
10 17 2
direct
0.123 0.651 0.314
0.500 0.999 0.983
0.147 0.147 0.318
0.999 0.500 0.983
0.904 0.369 0.675
0.609 0.609 0.324
0.369 0.904 0.675
0.651 0.123 0.314
0.377 0.377 0.679
0.876 0.876 0.682
0.222 0.222 0.605
0.871 0.347 0.894
0.144 0.690 0.102
0.339 0.339 0.902
0.382 0.382 0.293
0.834 0.834 0.901
0.150 0.150 0.107
0.836 0.260 0.358
0.027 0.027 0.722
0.260 0.836 0.358
0.045 0.556 0.731
0.541 0.541 0.724
0.347 0.871 0.894
0.690 0.144 0.102
0.640 0.640 0.107
0.556 0.045 0.731
0.764 0.764 0.344
0.005 0.005 0.983
0.503 0.503 0.979
```

Its space-group type is Cm (8).

=====

No. 3
The following is a DFT calculation (PBE) of a geometry-optimized CaBi2O5 structure.

The structure in POSCAR format:
```
CaBi2O5
1.0
2.134 -5.718 0.000
2.134 5.718 0.000
0.000 0.000 13.129
Ca O Bi
2 10 4
direct
0.102 0.898 0.750
0.898 0.102 0.250
0.757 0.243 0.081
0.243 0.757 0.581
0.974 0.026 0.874
0.243 0.757 0.919
0.974 0.026 0.626
0.026 0.974 0.374
0.292 0.708 0.250
0.708 0.292 0.750
0.026 0.974 0.126
0.757 0.243 0.419
0.802 0.198 0.600
0.198 0.802 0.100
0.802 0.198 0.900
0.198 0.802 0.400
```

Its space-group type is Cmcm (63).

=====

No. 4
The following is a DFT calculation (PBE) of a geometry-optimized Ca4Bi6O13 structure.

The structure in POSCAR format:
```
Ca4Bi6O13
1.0
-0.222 -2.906 2.301
4.021 -1.572 -1.619
10.976 12.797 16.655
Ca O Bi
4 13 6
direct
0.224 0.592 0.874
0.166 0.575 0.722
0.751 0.097 0.946
0.690 0.084 0.798
0.121 0.074 0.571
0.199 0.091 0.856
0.624 0.992 0.117
0.171 0.073 0.709
0.144 0.439 0.134
0.326 0.516 0.369
0.844 0.060 0.353
0.668 0.582 0.776
0.600 0.384 0.486
0.461 0.565 0.626
0.228 0.162 0.009
0.327 0.247 0.256
0.727 0.603 0.925
0.138 0.510 0.538
0.555 0.406 0.067
0.378 0.099 0.407
0.558 0.061 0.637
0.875 0.459 0.302
0.151 0.010 0.172
```

Its space-group type is P1 (1).

=====

No. 5
The following is a DFT calculation (PBE) of a geometry-optimized CaBi2O4 structure.

The structure in POSCAR format:
```
CaBi2O4
1.0
0.000 4.998 4.998
4.998 0.000 4.998
4.998 4.998 0.000
Bi O Ca
4 8 2
direct
0.125 0.625 0.625
0.625 0.625 0.125
0.625 0.125 0.625
0.625 0.625 0.625
0.399 0.867 0.867
0.383 0.383 0.383
0.867 0.399 0.867
0.867 0.867 0.867
0.383 0.851 0.383
0.851 0.383 0.383
0.867 0.867 0.399
0.383 0.383 0.851
0.000 0.000 0.000
0.250 0.250 0.250
```

Its space-group type is Fd-3m (227).

=====

No. 6
The following is a DFT calculation (PBE) of a geometry-optimized CaBi2O4 structure.

The structure in POSCAR format:
```
CaBi2O4
1.0
-1.955 3.512 5.816
-4.292 -0.208 -5.614
-7.402 -14.371 6.191
O Bi Ca
24 12 6
direct
0.845 0.155 0.751
0.178 0.822 0.085
0.823 0.177 0.245
0.000 0.000 0.916
0.667 0.333 0.091
0.026 0.513 0.912
0.333 0.667 0.243
0.684 0.842 0.579
0.977 0.488 0.418
0.823 0.647 0.245
0.333 0.667 0.761
0.178 0.356 0.085
0.487 0.974 0.912
0.845 0.689 0.751
0.512 0.488 0.418
0.158 0.316 0.579
0.644 0.822 0.085
0.353 0.177 0.245
0.487 0.513 0.912
0.311 0.155 0.751
0.158 0.842 0.579
0.667 0.333 0.576
0.000 0.000 0.425
0.512 0.023 0.418
0.834 0.166 0.502
0.667 0.333 0.336
0.500 0.001 0.167
0.834 0.668 0.502
0.000 0.000 0.671
0.170 0.339 0.836
0.000 0.000 0.045
0.500 0.500 0.167
0.170 0.830 0.836
0.332 0.166 0.502
0.999 0.500 0.167
0.661 0.830 0.836
0.333 0.667 0.998
0.333 0.667 0.625
0.000 0.000 0.292
0.667 0.333 0.956
0.333 0.667 0.376
0.667 0.333 0.709
```

Its space-group type is P3m1 (156).

=====

No. 7
The following is a DFT calculation (PBE) of a geometry-optimized CaBi2O4 structure.

The structure in POSCAR format:
```
CaBi2O4
1.0
4.585 -2.004 -4.913
6.839 -0.369 1.505
-1.883 -16.396 4.837
O Ca Bi
24 6 12
direct
0.677 0.677 0.418
0.338 0.338 0.086
0.857 0.322 0.580
0.834 0.834 0.576
0.678 0.143 0.420
0.989 0.989 0.248
0.657 0.657 0.914
0.523 0.990 0.248
0.652 0.194 0.914
0.344 0.816 0.087
0.477 0.011 0.753
0.323 0.323 0.581
0.011 0.477 0.753
0.499 0.499 0.756
0.990 0.523 0.248
0.322 0.857 0.580
0.816 0.344 0.087
0.194 0.652 0.914
0.167 0.167 0.908
0.143 0.678 0.420
0.166 0.166 0.424
0.834 0.834 0.094
0.502 0.502 0.244
0.009 0.009 0.752
0.000 0.000 0.500
0.836 0.836 0.959
0.167 0.167 0.666
0.833 0.833 0.335
0.334 0.334 0.833
0.667 0.667 0.167
0.498 0.498 0.995
0.163 0.163 0.041
0.333 0.835 0.832
0.835 0.333 0.832
0.830 0.830 0.710
0.000 0.500 0.500
0.503 0.503 0.623
0.497 0.497 0.376
0.160 0.668 0.168
0.500 0.000 0.500
0.668 0.160 0.168
0.169 0.169 0.291
```

Its space-group type is Cm (8).

=====

No. 8
The following is a DFT calculation (PBE) of a geometry-optimized CaBi2O4 structure.

The structure in POSCAR format:
```
CaBi2O4
1.0
6.113 -3.523 0.000
6.113 3.523 0.000
4.082 0.000 5.755
Bi O Ca
4 8 2
direct
0.626 0.626 0.118
0.118 0.626 0.626
0.626 0.118 0.626
0.248 0.248 0.248
0.854 0.383 0.383
0.866 0.866 0.866
0.383 0.854 0.383
0.866 0.866 0.407
0.383 0.383 0.854
0.407 0.866 0.866
0.379 0.379 0.379
0.866 0.407 0.866
0.625 0.625 0.625
0.002 0.002 0.002
```

Its space-group type is R3m (160).

=====

No. 9
The following is a DFT calculation (PBE) of a geometry-optimized CaBi2O4 structure.

The structure in POSCAR format:
```
CaBi2O4
1.0
1.687 -5.052 4.582
5.486 -4.204 -1.260
16.183 11.530 12.197
O Bi Ca
32 16 8
direct
0.309 0.309 0.068
0.787 0.323 0.565
0.323 0.323 0.564
0.679 0.679 0.437
0.690 0.690 0.929
0.928 0.928 0.686
0.824 0.285 0.065
0.440 0.440 0.682
0.323 0.787 0.565
0.463 0.926 0.685
0.572 0.038 0.814
0.059 0.059 0.817
0.190 0.190 0.433
0.038 0.572 0.814
0.285 0.824 0.065
0.677 0.211 0.436
0.076 0.535 0.315
0.183 0.183 0.936
0.810 0.810 0.568
0.955 0.427 0.185
0.176 0.708 0.935
0.434 0.434 0.186
0.535 0.076 0.315
0.573 0.573 0.814
0.427 0.955 0.185
0.071 0.071 0.314
0.708 0.176 0.935
0.822 0.822 0.064
0.926 0.463 0.685
0.211 0.677 0.436
0.559 0.559 0.320
0.939 0.939 0.180
0.625 0.125 0.625
0.124 0.630 0.125
0.375 0.873 0.376
0.847 0.847 0.468
0.250 0.250 0.253
0.873 0.375 0.376
0.347 0.347 0.969
0.153 0.153 0.533
0.630 0.124 0.125
0.404 0.404 0.782
0.874 0.381 0.874
0.125 0.625 0.625
0.597 0.597 0.219
0.001 0.001 0.002
0.097 0.097 0.718
0.381 0.874 0.874
0.625 0.625 0.625
0.903 0.903 0.281
0.875 0.875 0.874
0.124 0.124 0.125
0.751 0.751 0.749
0.654 0.654 0.030
0.500 0.500 0.500
0.374 0.374 0.376
```

Its space-group type is Cm (8).

=====

No. 10
The following is a DFT calculation (PBE) of a geometry-optimized CaBi2O4 structure.

The structure in POSCAR format:
```
CaBi2O4
1.0
-9.618 -2.519 2.944
0.187 -8.292 6.222
-3.093 1.589 12.051
Ca O Bi
8 32 16
direct
0.582 0.008 0.337
0.853 0.052 0.419
0.008 0.582 0.837
0.147 0.948 0.581
0.052 0.853 0.919
0.992 0.418 0.163
0.948 0.147 0.081
0.418 0.992 0.663
0.219 0.653 0.642
0.889 0.105 0.925
0.164 0.038 0.716
0.962 0.580 0.666
0.105 0.889 0.425
0.736 0.890 0.633
0.890 0.736 0.133
0.291 0.310 0.120
0.583 0.124 0.457
0.111 0.895 0.075
0.124 0.583 0.957
0.653 0.219 0.142
0.310 0.291 0.620
0.427 0.677 0.399
0.962 0.836 0.784
0.264 0.110 0.367
0.573 0.323 0.601
0.420 0.038 0.834
0.709 0.690 0.880
0.038 0.164 0.216
0.690 0.709 0.380
0.038 0.420 0.334
0.580 0.962 0.166
0.876 0.417 0.043
0.323 0.573 0.101
0.895 0.111 0.575
0.677 0.427 0.899
0.347 0.781 0.858
0.781 0.347 0.358
0.836 0.962 0.284
0.110 0.264 0.867
0.417 0.876 0.543
0.531 0.344 0.439
0.469 0.656 0.561
0.649 0.731 0.218
0.052 0.243 0.734
0.757 0.948 0.766
0.351 0.269 0.782
0.346 0.825 0.007
0.948 0.757 0.266
0.731 0.649 0.718
0.656 0.469 0.061
0.269 0.351 0.282
0.825 0.346 0.507
0.654 0.175 0.993
0.344 0.531 0.939
0.175 0.654 0.493
0.243 0.052 0.234
```

Its space-group type is C2/c (15).

=====

No. 11
The following is a DFT calculation (PBE) of a geometry-optimized CaBi2O6 structure.

The structure in POSCAR format:
```
CaBi2O6
1.0
5.672 0.000 0.000
0.000 5.916 0.000
0.000 0.000 8.169
O Bi Ca
12 4 2
direct
0.296 0.461 0.197
0.296 0.461 0.803
0.796 0.539 0.697
0.902 0.292 0.000
0.680 0.069 0.689
0.180 0.931 0.811
0.180 0.931 0.189
0.680 0.069 0.311
0.127 0.221 0.500
0.796 0.539 0.303
0.627 0.779 0.000
0.402 0.708 0.500
0.004 0.237 0.750
0.004 0.237 0.250
0.504 0.763 0.250
0.504 0.763 0.750
0.522 0.328 0.500
0.022 0.672 0.000
```

Its space-group type is Pmn2_1 (31).

=====

| no. | ΔH_f (0 K) (eV per atom) |
| --- | --- |
| 1 | -1.78 |
| 2 | -1.79 |
| 3 | -1.78 |
| 4 | -2.12 |
| 5 | -2.04 |
| 6 | -2.05 |
| 7 | -2.08 |
| 8 | -2.07 |
| 9 | -2.08 |
| 10 | -2.14 |
| 11 | -1.70 |